{
  "formula": "MgIr",
  "functional": "PBE",
  "state": "optimized geometry",
  "lattice": [[9.2974, -8.1467, 0.0000], [9.2974, 8.1467, 0.0000], [0.0000, 0.0000, 16.9059]],
  "species": ["Mg", "Mg", "Mg", "Mg", "Mg", "Mg", "Mg", "Mg", "Mg", "Mg", "Mg", "Mg", "Mg", "Mg", "Mg", "Mg", "Mg", "Mg", "Mg", "Mg", "Mg", "Mg", "Mg", "Mg", "Mg", "Mg", "Mg", "Mg", "Mg", "Mg", "Mg", "Mg", "Mg", "Mg", "Mg", "Mg", "Mg", "Mg", "Mg", "Mg", "Mg", "Mg", "Mg", "Mg", "Mg", "Mg", "Mg", "Mg", "Mg", "Mg", "Mg", "Mg", "Mg", "Mg", "Mg", "Mg", "Mg", "Mg", "Mg", "Mg", "Mg", "Mg", "Mg", "Mg", "Mg", "Mg", "Mg", "Mg", "Mg", "Mg", "Mg", "Mg", "Mg", "Mg", "Mg", "Mg", "Ir", "Ir", "Ir", "Ir", "Ir", "Ir", "Ir", "Ir", "Ir", "Ir", "Ir", "Ir", "Ir", "Ir", "Ir", "Ir", "Ir", "Ir", "Ir", "Ir", "Ir", "Ir", "Ir", "Ir", "Ir", "Ir", "Ir", "Ir", "Ir", "Ir", "Ir", "Ir", "Ir", "Ir", "Ir", "Ir", "Ir", "Ir", "Ir", "Ir", "Ir", "Ir", "Ir", "Ir", "Ir", "Ir", "Ir", "Ir", "Ir", "Ir", "Ir", "Ir", "Ir", "Ir", "Ir", "Ir", "Ir", "Ir", "Ir", "Ir", "Ir", "Ir", "Ir", "Ir", "Ir", "Ir", "Ir", "Ir", "Ir", "Ir", "Ir", "Ir", "Ir", "Ir", "Ir", "Ir"],
  "frac_coords": [[0.0027, 0.5392, 0.3350], [0.0346, 0.7023, 0.7312], [0.0392, 0.5027, 0.8350], [0.0450, 0.7093, 0.9387], [0.0488, 0.9512, 0.9342], [0.0623, 0.9377, 0.4325], [0.0851, 0.9149, 0.2347], [0.1051, 0.1599, 0.6626], [0.1084, 0.1417, 0.1695], [0.1254, 0.3307, 0.4054], [0.1400, 0.3164, 0.9249], [0.1417, 0.1084, 0.8305], [0.1599, 0.1051, 0.3374], [0.1693, 0.3746, 0.0946], [0.1836, 0.3600, 0.5751], [0.2023, 0.5346, 0.2312], [0.2093, 0.5450, 0.4387], [0.2377, 0.7623, 0.4974], [0.2468, 0.7532, 0.6763], [0.2532, 0.7468, 0.1763], [0.2623, 0.7377, 0.9974], [0.2907, 0.9550, 0.9387], [0.2977, 0.9654, 0.7312], [0.3164, 0.1400, 0.0751], [0.3307, 0.1254, 0.5946], [0.3401, 0.3949, 0.8374], [0.3583, 0.3916, 0.3305], [0.3600, 0.1836, 0.4249], [0.3746, 0.1693, 0.9054], [0.3916, 0.3583, 0.6695], [0.3949, 0.3401, 0.1626], [0.4149, 0.5851, 0.7347], [0.4377, 0.5623, 0.9325], [0.4512, 0.5488, 0.4342], [0.4550, 0.7907, 0.4387], [0.4608, 0.9973, 0.3350], [0.4654, 0.7977, 0.2312], [0.4973, 0.9608, 0.8350], [0.5027, 0.0392, 0.1650], [0.5346, 0.2023, 0.7688], [0.5392, 0.0027, 0.6650], [0.5450, 0.2093, 0.5613], [0.5488, 0.4512, 0.5658], [0.5623, 0.4377, 0.0675], [0.5851, 0.4149, 0.2653], [0.6051, 0.6599, 0.8374], [0.6084, 0.6417, 0.3305], [0.6254, 0.8307, 0.0946], [0.6400, 0.8164, 0.5751], [0.6417, 0.6084, 0.6695], [0.6599, 0.6051, 0.1626], [0.6693, 0.8746, 0.4054], [0.6836, 0.8600, 0.9249], [0.7023, 0.0346, 0.2688], [0.7093, 0.0450, 0.0613], [0.7377, 0.2623, 0.0026], [0.7468, 0.2532, 0.8237], [0.7532, 0.2468, 0.3237], [0.7623, 0.2377, 0.5026], [0.7907, 0.4550, 0.5613], [0.7977, 0.4654, 0.7688], [0.8164, 0.6400, 0.4249], [0.8307, 0.6254, 0.9054], [0.8401, 0.8949, 0.6626], [0.8583, 0.8916, 0.1695], [0.8600, 0.6836, 0.0751], [0.8746, 0.6693, 0.5946], [0.8916, 0.8583, 0.8305], [0.8949, 0.8401, 0.3374], [0.9149, 0.0851, 0.7653], [0.9377, 0.0623, 0.5675], [0.9512, 0.0488, 0.0658], [0.9550, 0.2907, 0.0613], [0.9608, 0.4973, 0.1650], [0.9654, 0.2977, 0.2688], [0.9973, 0.4608, 0.6650], [0.0000, 0.5000, 0.0000], [0.0000, 0.5000, 0.5000], [0.0173, 0.7049, 0.4578], [0.0184, 0.7063, 0.2140], [0.0401, 0.8236, 0.5870], [0.0479, 0.8186, 0.0841], [0.0681, 0.9319, 0.7180], [0.1152, 0.6161, 0.5876], [0.1161, 0.6152, 0.0876], [0.1253, 0.7309, 0.3378], [0.1258, 0.1258, 0.0000], [0.1373, 0.1373, 0.5000], [0.1654, 0.8346, 0.8300], [0.1704, 0.3296, 0.7500], [0.1764, 0.9599, 0.5870], [0.1770, 0.3230, 0.2500], [0.1814, 0.9521, 0.0841], [0.2049, 0.5173, 0.9578], [0.2063, 0.5184, 0.7140], [0.2309, 0.6253, 0.8378], [0.2691, 0.8747, 0.3378], [0.2937, 0.9816, 0.2140], [0.2951, 0.9827, 0.4578], [0.3186, 0.5479, 0.5841], [0.3230, 0.1770, 0.7500], [0.3236, 0.5401, 0.0870], [0.3296, 0.1704, 0.2500], [0.3346, 0.6654, 0.3300], [0.3627, 0.3627, 0.0000], [0.3742, 0.3742, 0.5000], [0.3747, 0.7691, 0.8378], [0.3839, 0.8848, 0.5876], [0.3848, 0.8839, 0.0876], [0.4319, 0.5681, 0.2180], [0.4521, 0.6814, 0.5841], [0.4599, 0.6764, 0.0870], [0.4816, 0.7937, 0.7140], [0.4827, 0.7951, 0.9578], [0.5000, 0.0000, 0.0000], [0.5000, 0.0000, 0.5000], [0.5173, 0.2049, 0.0422], [0.5184, 0.2063, 0.2860], [0.5401, 0.3236, 0.9130], [0.5479, 0.3186, 0.4159], [0.5681, 0.4319, 0.7820], [0.6152, 0.1161, 0.9124], [0.6161, 0.1152, 0.4124], [0.6253, 0.2309, 0.1622], [0.6258, 0.6258, 0.5000], [0.6373, 0.6373, 0.0000], [0.6654, 0.3346, 0.6700], [0.6704, 0.8296, 0.7500], [0.6764, 0.4599, 0.9130], [0.6770, 0.8230, 0.2500], [0.6814, 0.4521, 0.4159], [0.7049, 0.0173, 0.5422], [0.7063, 0.0184, 0.7860], [0.7309, 0.1253, 0.6622], [0.7691, 0.3747, 0.1622], [0.7937, 0.4816, 0.2860], [0.7951, 0.4827, 0.0422], [0.8186, 0.0479, 0.9159], [0.8230, 0.6770, 0.7500], [0.8236, 0.0401, 0.4130], [0.8296, 0.6704, 0.2500], [0.8346, 0.1654, 0.1700], [0.8627, 0.8627, 0.5000], [0.8742, 0.8742, 0.0000], [0.8747, 0.2691, 0.6622], [0.8839, 0.3848, 0.9124], [0.8848, 0.3839, 0.4124], [0.9319, 0.0681, 0.2820], [0.9521, 0.1814, 0.9159], [0.9599, 0.1764, 0.4130], [0.9816, 0.2937, 0.7860], [0.9827, 0.2951, 0.5422]],
  "sg": "Cmce",
  "e_form_ev_per_atom": -0.38,
  "magmom_total_mub_per_fu": 0.00,
  "energy_ev_per_atom": -5.60
}